No. 1
# Na2CuO2

A geometry-optimized Na2CuO2 structure (PBE, the Materials Project).

The structure in POSCAR format:
```
Na2CuO2
1.0
2.948 0.000 0.000
0.000 5.681 0.000
0.000 2.742 7.810
Na Cu O
4 2 4
Direct
0.250 0.615 0.120 Na
0.750 0.385 0.880 Na
0.250 0.680 0.558 Na
0.750 0.320 0.442 Na
0.250 0.025 0.239 Cu
0.750 0.975 0.761 Cu
0.750 0.768 0.318 O
0.250 0.232 0.682 O
0.750 0.269 0.177 O
0.250 0.731 0.823 O
```

Summary:
Distance to the lowest polymorph of the same formula   26 meV per atom
SG   P2_1/m, No. 11

No. 2
# Na2CuO2

A geometry-optimized Na2CuO2 structure (PBE, the Materials Project).

The structure in POSCAR format:
```
Na2CuO2
1.0
1.475 -5.181 0.000
1.475 5.181 0.000
0.000 0.000 8.241
Na Cu O
4 2 4
Direct
0.147 0.853 0.332 Na
0.394 0.606 0.151 Na
0.853 0.147 0.832 Na
0.606 0.394 0.651 Na
0.122 0.878 0.997 Cu
0.878 0.122 0.497 Cu
0.275 0.725 0.597 O
0.517 0.483 0.909 O
0.483 0.517 0.409 O
0.725 0.275 0.097 O
```

Summary:
Distance to the lowest polymorph of the same formula   0 meV per atom
SG   Cmc2_1, No. 36

No. 3
# Na6CuO4

A geometry-optimized Na6CuO4 structure (PBE, the Materials Project).

The structure in POSCAR format:
```
Na6CuO4
1.0
7.532 0.000 0.000
0.000 7.532 0.000
0.000 0.000 5.346
Na Cu O
12 2 8
Direct
0.289 0.289 0.500 Na
0.711 0.289 0.500 Na
0.000 0.500 0.400 Na
0.000 0.500 0.900 Na
0.289 0.711 0.500 Na
0.711 0.711 0.500 Na
0.789 0.789 0.000 Na
0.211 0.789 0.000 Na
0.500 0.000 0.100 Na
0.500 0.000 0.600 Na
0.789 0.211 0.000 Na
0.211 0.211 0.000 Na
0.500 0.500 0.000 Cu
0.000 0.000 0.500 Cu
0.000 0.249 0.665 O
0.749 0.500 0.165 O
0.251 0.500 0.165 O
0.000 0.751 0.665 O
0.500 0.749 0.835 O
0.751 0.000 0.335 O
0.249 0.000 0.335 O
0.500 0.251 0.835 O
```

Summary:
Distance to the lowest polymorph of the same formula   22 meV per atom
SG   P4_2/nmc, No. 137

No. 4
# Na2CuO2

A geometry-optimized Na2CuO2 structure (PBE, the Materials Project).

The structure in POSCAR format:
```
Na2CuO2
1.0
5.708 0.000 0.000
0.000 8.766 0.000
0.000 0.498 11.480
Na Cu O
16 8 16
Direct
0.531 0.146 0.025 Na
0.894 0.486 0.073 Na
0.574 0.808 0.134 Na
0.353 0.436 0.211 Na
0.650 0.054 0.292 Na
0.447 0.685 0.372 Na
0.450 0.338 0.486 Na
0.097 0.009 0.425 Na
0.597 0.991 0.575 Na
0.950 0.662 0.514 Na
0.947 0.315 0.628 Na
0.150 0.946 0.708 Na
0.853 0.564 0.789 Na
0.074 0.192 0.866 Na
0.394 0.514 0.927 Na
0.031 0.854 0.975 Na
0.082 0.167 0.118 Cu
0.055 0.886 0.215 Cu
0.968 0.613 0.284 Cu
0.896 0.335 0.375 Cu
0.396 0.665 0.625 Cu
0.468 0.387 0.716 Cu
0.555 0.114 0.785 Cu
0.582 0.833 0.882 Cu
0.222 0.333 0.041 O
0.838 0.022 0.112 O
0.283 0.046 0.222 O
0.222 0.700 0.193 O
0.721 0.463 0.266 O
0.805 0.806 0.327 O
0.154 0.470 0.387 O
0.779 0.168 0.459 O
0.279 0.832 0.541 O
0.654 0.530 0.613 O
0.305 0.194 0.673 O
0.221 0.537 0.734 O
0.722 0.300 0.807 O
0.783 0.954 0.778 O
0.338 0.978 0.888 O
0.722 0.667 0.959 O
```

Summary:
Distance to the lowest polymorph of the same formula   76 meV per atom
SG   P2_1, No. 4

No. 5
# NaCu3O4

A geometry-optimized NaCu3O4 structure (PBE, the Materials Project).

The structure in POSCAR format:
```
NaCu3O4
1.0
-0.073 -5.460 0.476
1.500 -0.478 -5.250
5.271 0.060 1.501
Na Cu O
2 6 8
Direct
0.000 0.000 0.000 Na
0.500 0.500 0.500 Na
0.000 0.500 0.250 Cu
0.000 0.500 0.750 Cu
0.250 0.000 0.500 Cu
0.500 0.250 0.000 Cu
0.500 0.750 0.000 Cu
0.750 0.000 0.500 Cu
0.250 0.250 0.250 O
0.250 0.750 0.250 O
0.250 0.250 0.750 O
0.250 0.750 0.750 O
0.750 0.250 0.250 O
0.750 0.250 0.750 O
0.750 0.750 0.250 O
0.750 0.750 0.750 O
```

Summary:
Distance to the lowest polymorph of the same formula   0 meV per atom
SG   Pm-3n, No. 223

No. 6
# NaCuO2

A geometry-optimized NaCuO2 structure (PBE, the Materials Project).

The structure in POSCAR format:
```
NaCuO2
1.0
-5.520 0.000 0.000
1.401 5.384 0.000
-0.240 -1.109 -7.065
Na Cu O
4 4 8
Direct
0.000 0.500 0.500 Na
0.227 0.397 0.066 Na
0.500 0.500 0.500 Na
0.773 0.603 0.934 Na
0.384 0.951 0.276 Cu
0.882 0.949 0.283 Cu
0.118 0.051 0.717 Cu
0.616 0.049 0.724 Cu
0.076 0.721 0.221 O
0.311 0.822 0.669 O
0.577 0.719 0.224 O
0.811 0.818 0.676 O
0.189 0.182 0.324 O
0.423 0.281 0.776 O
0.689 0.178 0.331 O
0.924 0.279 0.779 O
```

Summary:
SG   P-1, No. 2

No. 7
# NaCu2O3

A geometry-optimized NaCu2O3 structure (PBE, the Materials Project).

The structure in POSCAR format:
```
NaCu2O3
1.0
3.792 0.000 0.000
0.000 3.916 0.000
0.000 0.000 10.083
Na Cu O
2 4 6
Direct
0.000 0.304 0.000 Na
0.500 0.696 0.500 Na
0.000 0.157 0.341 Cu
0.000 0.157 0.659 Cu
0.500 0.843 0.841 Cu
0.500 0.843 0.159 Cu
0.000 0.909 0.820 O
0.000 0.392 0.500 O
0.000 0.909 0.180 O
0.500 0.608 0.000 O
0.500 0.091 0.320 O
0.500 0.091 0.680 O
```

Summary:
Distance to the lowest polymorph of the same formula   0 meV per atom
SG   Pmmn, No. 59

No. 8
# Na7Cu7O13

A geometry-optimized Na7Cu7O13 structure (PBE, the Materials Project).

The structure in POSCAR format:
```
Na7Cu7O13
1.0
-0.461 -6.730 0.433
5.449 1.211 3.895
-5.531 2.002 4.954
Na Cu O
7 7 13
Direct
0.714 0.215 0.573 Na
0.852 0.336 0.275 Na
0.568 0.072 0.854 Na
0.429 0.929 0.140 Na
0.301 0.790 0.426 Na
0.146 0.639 0.726 Na
0.999 0.501 0.001 Na
0.853 0.857 0.285 Cu
0.711 0.717 0.570 Cu
0.574 0.574 0.857 Cu
0.430 0.431 0.145 Cu
0.285 0.288 0.429 Cu
0.141 0.143 0.713 Cu
0.999 0.996 0.000 Cu
0.795 0.565 0.740 O
0.216 0.990 0.881 O
0.924 0.150 0.830 O
0.484 0.721 0.691 O
0.355 0.578 0.974 O
0.645 0.861 0.401 O
0.506 0.281 0.316 O
0.650 0.424 0.030 O
0.358 0.132 0.596 O
0.079 0.848 0.175 O
0.777 0.009 0.105 O
0.065 0.299 0.544 O
0.209 0.442 0.262 O
```

Summary:
SG   P1, No. 1

No. 9
# NaCuPO4

A geometry-optimized NaCuPO4 structure (PBE, the Materials Project).

The structure in POSCAR format:
```
NaCuPO4
1.0
9.000 0.000 0.000
0.000 5.081 0.000
0.000 4.035 7.008
Na Cu P O
4 4 4 16
Direct
0.356 0.349 0.697 Na
0.144 0.349 0.197 Na
0.856 0.651 0.803 Na
0.644 0.651 0.303 Na
0.000 0.500 0.500 Cu
0.500 0.000 0.500 Cu
0.000 0.000 0.000 Cu
0.500 0.500 0.000 Cu
0.325 0.852 0.198 P
0.825 0.148 0.302 P
0.675 0.148 0.802 P
0.175 0.852 0.698 P
0.366 0.170 0.031 O
0.634 0.830 0.969 O
0.866 0.830 0.469 O
0.377 0.580 0.175 O
0.605 0.208 0.610 O
0.134 0.170 0.531 O
0.395 0.792 0.390 O
0.877 0.420 0.325 O
0.623 0.420 0.825 O
0.349 0.846 0.715 O
0.123 0.580 0.675 O
0.151 0.846 0.215 O
0.895 0.208 0.110 O
0.105 0.792 0.890 O
0.849 0.154 0.785 O
0.651 0.154 0.285 O
```

Summary:
Distance to the lowest polymorph of the same formula   9 meV per atom
SG   P2_1/c, No. 14

No. 10
# Na2CuP2O7

A geometry-optimized Na2CuP2O7 structure (PBE, the Materials Project).

The structure in POSCAR format:
```
Na2CuP2O7
1.0
-5.201 -7.027 1.262
-2.564 -7.866 -3.095
4.189 -6.968 3.876
Na Cu P O
4 2 4 14
Direct
0.831 0.555 0.432 Na
0.555 0.831 0.932 Na
0.445 0.169 0.068 Na
0.169 0.445 0.568 Na
0.500 0.500 0.500 Cu
0.500 0.500 0.000 Cu
0.947 0.237 0.188 P
0.237 0.947 0.688 P
0.763 0.053 0.312 P
0.053 0.763 0.812 P
0.214 0.119 0.122 O
0.119 0.214 0.622 O
0.754 0.428 0.057 O
0.804 0.379 0.340 O
0.428 0.754 0.557 O
0.379 0.804 0.840 O
0.015 0.985 0.250 O
0.985 0.015 0.750 O
0.621 0.196 0.160 O
0.572 0.246 0.443 O
0.196 0.621 0.660 O
0.246 0.572 0.943 O
0.881 0.786 0.378 O
0.786 0.881 0.878 O
```

Summary:
Distance to the lowest polymorph of the same formula   33 meV per atom
SG   C2/c, No. 15

No. 11
# NaCuP3O9

A geometry-optimized NaCuP3O9 structure (PBE, the Materials Project).

The structure in POSCAR format:
```
NaCuP3O9
1.0
8.419 0.000 0.000
0.000 8.993 0.000
0.000 0.000 9.065
Na Cu P O
4 4 12 36
Direct
0.878 0.423 0.108 Na
0.122 0.923 0.392 Na
0.622 0.577 0.608 Na
0.378 0.077 0.892 Na
0.099 0.139 0.116 Cu
0.901 0.639 0.384 Cu
0.401 0.861 0.616 Cu
0.599 0.361 0.884 Cu
0.952 0.824 0.048 P
0.727 0.076 0.065 P
0.561 0.560 0.231 P
0.439 0.060 0.269 P
0.273 0.576 0.435 P
0.048 0.324 0.452 P
0.548 0.176 0.548 P
0.773 0.924 0.565 P
0.939 0.440 0.731 P
0.061 0.940 0.769 P
0.227 0.424 0.935 P
0.452 0.676 0.952 P
0.788 0.915 0.013 O
0.131 0.355 0.058 O
0.915 0.674 0.108 O
0.523 0.695 0.117 O
0.864 0.167 0.123 O
0.332 0.119 0.148 O
0.611 0.425 0.146 O
0.060 0.922 0.141 O
0.612 0.029 0.198 O
0.388 0.529 0.302 O
0.940 0.422 0.359 O
0.389 0.925 0.354 O
0.668 0.619 0.352 O
0.136 0.667 0.377 O
0.477 0.195 0.383 O
0.085 0.174 0.392 O
0.869 0.855 0.442 O
0.212 0.415 0.487 O
0.712 0.085 0.513 O
0.369 0.645 0.558 O
0.585 0.326 0.608 O
0.977 0.305 0.617 O
0.636 0.833 0.623 O
0.168 0.881 0.648 O
0.889 0.575 0.646 O
0.440 0.078 0.641 O
0.888 0.971 0.698 O
0.112 0.471 0.802 O
0.560 0.578 0.859 O
0.111 0.075 0.854 O
0.832 0.381 0.852 O
0.364 0.333 0.877 O
0.023 0.805 0.883 O
0.415 0.826 0.892 O
0.631 0.145 0.942 O
0.288 0.585 0.987 O
```

Summary:
Distance to the lowest polymorph of the same formula   0 meV per atom
SG   P2_12_12_1, No. 19

No. 12
# NaCuPO4

A geometry-optimized NaCuPO4 structure (PBE, the Materials Project).

The structure in POSCAR format:
```
NaCuPO4
1.0
4.848 0.000 0.000
0.000 7.312 0.000
0.000 0.000 9.838
Na Cu P O
4 4 4 16
Direct
0.983 0.733 0.812 Na
0.517 0.267 0.312 Na
0.017 0.233 0.688 Na
0.483 0.767 0.188 Na
0.501 0.436 0.957 Cu
0.001 0.064 0.043 Cu
0.499 0.936 0.543 Cu
0.999 0.564 0.457 Cu
0.064 0.972 0.365 P
0.936 0.472 0.135 P
0.564 0.528 0.635 P
0.436 0.028 0.865 P
0.835 0.526 0.279 O
0.746 0.977 0.375 O
0.754 0.023 0.875 O
0.793 0.606 0.032 O
0.207 0.106 0.468 O
0.665 0.474 0.779 O
0.306 0.220 0.896 O
0.194 0.780 0.396 O
0.254 0.477 0.125 O
0.246 0.523 0.625 O
0.165 0.026 0.221 O
0.335 0.974 0.721 O
0.694 0.720 0.604 O
0.707 0.394 0.532 O
0.806 0.280 0.104 O
0.293 0.894 0.968 O
```

Summary:
Distance to the lowest polymorph of the same formula   0 meV per atom
SG   P2_12_12_1, No. 19
Largest piezoelectric modulus   0.20 C/m2

No. 13
# Na2CuP2O7

A geometry-optimized Na2CuP2O7 structure (PBE, the Materials Project).

The structure in POSCAR format:
```
Na2CuP2O7
1.0
-11.376 -7.464 1.766
2.599 -3.246 3.024
0.222 2.008 9.914
Na Cu P O
8 4 8 28
Direct
0.611 0.082 0.633 Na
0.708 0.418 0.847 Na
0.792 0.418 0.347 Na
0.389 0.918 0.367 Na
0.889 0.082 0.133 Na
0.208 0.582 0.653 Na
0.292 0.582 0.153 Na
0.111 0.918 0.867 Na
0.844 0.056 0.739 Cu
0.656 0.056 0.239 Cu
0.344 0.944 0.761 Cu
0.156 0.944 0.261 Cu
0.321 0.274 0.955 P
0.179 0.274 0.455 P
0.963 0.521 0.771 P
0.679 0.726 0.045 P
0.037 0.479 0.229 P
0.821 0.726 0.545 P
0.463 0.479 0.729 P
0.537 0.521 0.271 P
0.274 0.147 0.857 O
0.723 0.420 0.086 O
0.685 0.931 0.879 O
0.066 0.418 0.785 O
0.449 0.238 0.679 O
0.226 0.147 0.357 O
0.551 0.762 0.321 O
0.777 0.420 0.586 O
0.051 0.238 0.179 O
0.726 0.853 0.143 O
0.886 0.272 0.850 O
0.614 0.272 0.350 O
0.386 0.728 0.650 O
0.315 0.069 0.121 O
0.223 0.580 0.414 O
0.435 0.327 0.907 O
0.065 0.327 0.407 O
0.815 0.931 0.379 O
0.114 0.728 0.150 O
0.774 0.853 0.643 O
0.935 0.673 0.593 O
0.949 0.762 0.821 O
0.185 0.069 0.621 O
0.934 0.582 0.215 O
0.277 0.580 0.914 O
0.565 0.673 0.093 O
0.566 0.582 0.715 O
0.434 0.418 0.285 O
```

Summary:
Distance to the lowest polymorph of the same formula   8 meV per atom
SG   P2_1/c, No. 14

Per-record spin magnetization, Bohr magnetons per cell: 2.0, 2.0, 2.0, 8.0, 0.0, 0.0, 0.0, 0.0, 0.0, 2.0, 4.0, 4.0, 4.0
Per-record formation energy, meV/atom: -1312, -1337, -1319, -1261, -1119, -1328, -1188, -1298, -2153, -2353, -2376, -2162, -2378